Density functional theory data (r²SCAN) for an optimized crystal structure of Y3Pb4F17.

a = 9.0529 Å, b = 9.0830 Å, c = 9.1322 Å
α = 72.86°, β = 72.87°, γ = 73.01°
Closest atoms and distances in Å follow each position.
Space group P1 (No. 1)
Symmetry-distinct sites (fractional):
Y 0.0000 0.0000 0.0000 x1  8 F 2.21-2.31
Y 0.0559 0.6617 0.7837 x1  9 F 2.23-2.43
Y 0.1394 0.3133 0.5546 x1  8 F 2.23-2.36
Y 0.3745 0.2305 0.9210 x1  8 F 2.23-2.32
Y 0.7152 0.4509 0.8543 x1  9 F 2.24-2.40
Y 0.9205 0.3755 0.2247 x1  8 F 2.21-2.32
Pb 0.2348 0.9380 0.3509 x1  8 F 2.49-2.72
Pb 0.2741 0.5763 0.1226 x1  7 F 2.47-2.57
Pb 0.4300 0.8789 0.6949 x1  8 F 2.45-2.71
Pb 0.4878 0.5283 0.4985 x1  7 F 2.47-2.69
Pb 0.5805 0.1509 0.2825 x1  7 F 2.50-2.63
Pb 0.6433 0.7872 0.0716 x1  7 F 2.52-2.63
Pb 0.7990 0.1005 0.6508 x1  7 F 2.48-2.58
Pb 0.8502 0.7332 0.4362 x1  7 F 2.51-2.65
F 0.0247 0.1969 0.4295 x1  2 Y 2.32-2.36, 1 F 2.55, 1 Pb 2.57
F 0.0436 0.4862 0.3407 x1  2 Y 2.31-2.33, 1 F 2.55, 1 Pb 2.56
F 0.0749 0.1038 0.7382 x1  2 Y 2.23-2.27
F 0.0803 0.8186 0.2138 x1  1 Y 2.30, 2 Pb 2.57
F 0.1235 0.5580 0.5701 x1  2 Y 2.23-2.26
F 0.1750 0.7942 0.8991 x1  2 Y 2.30-2.43, 1 F 2.53, 1 Pb 2.56
F 0.1826 0.2985 0.1252 x1  2 Y 2.24-2.25
F 0.2303 0.0508 0.9791 x1  2 Y 2.21-2.23
F 0.2707 0.7554 0.6076 x1  1 Y 2.33, 2 Pb 2.47-2.49, 2 F 2.57-2.59
F 0.2758 0.4926 0.8439 x1  2 Y 2.23-2.26
F 0.3212 0.1008 0.4726 x1  1 Y 2.29, 2 Pb 2.49-2.55, 1 F 2.57
F 0.3271 0.2587 0.6873 x1  2 Y 2.23
F 0.3573 0.3863 0.3643 x1  1 Y 2.33, 2 Pb 2.53-2.60, 1 F 2.57
F 0.3984 0.7003 0.2497 x1  4 Pb 2.48-2.55, 1 F 2.72
F 0.4547 0.0484 0.1329 x1  1 Y 2.29, 1 Pb 2.51
F 0.4949 0.3504 0.0321 x1  2 Y 2.32-2.39, 1 F 2.55, 1 Pb 2.55
F 0.5089 0.6629 0.9352 x1  1 Y 2.38, 3 Pb 2.47-2.61, 2 F 2.60-2.64
F 0.5140 0.8429 0.4017 x1  4 Pb 2.56-2.86, 8 F 2.59-2.79
F 0.5565 0.0157 0.8416 x1  1 Y 2.30, 1 Pb 2.53
F 0.5811 0.3310 0.7454 x1  2 Y 2.30-2.40, 1 F 2.55
F 0.6096 0.6287 0.6468 x1  1 Y 2.34, 2 Pb 2.45-2.47, 1 F 2.60
F 0.6718 0.9788 0.5226 x1  4 Pb 2.49-2.53, 1 F 2.75
F 0.7073 0.2931 0.4114 x1  1 Y 2.31, 1 Pb 2.55
F 0.7229 0.4489 0.0976 x1  2 Y 2.24-2.25
F 0.7380 0.5860 0.3169 x1  1 Y 2.32, 2 Pb 2.47-2.51
F 0.7863 0.9152 0.1829 x1  1 Y 2.31, 2 Pb 2.53
F 0.7899 0.1865 0.9367 x1  2 Y 2.24-2.25
F 0.8031 0.6776 0.7846 x1  2 Y 2.25-2.27
F 0.8732 0.3956 0.6275 x1  2 Y 2.24-2.26
F 0.8877 0.8851 0.8786 x1  2 Y 2.31-2.38, 1 F 2.53, 1 Pb 2.54
F 0.9295 0.1462 0.1799 x1  2 Y 2.21-2.25
F 0.9725 0.5962 0.0494 x1  2 Y 2.24-2.27
F 0.9864 0.8645 0.5662 x1  1 Y 2.37, 3 Pb 2.48-2.63, 1 F 2.57
F 0.9890 0.4085 0.8580 x1  2 Y 2.40, 3 F 2.56-2.69

Computed properties:
* total magnetic moment: 0.00 μB per atom
* ΔH_f (0 K): -84.8 eV/f.u.
* crystal system: triclinic

***

Density functional theory data (r²SCAN) for an optimized crystal structure of K6ZnSe4.

a = 10.1934 Å, b = 10.1934 Å, c = 7.9039 Å
α = 90.00°, β = 90.00°, γ = 120.00°
Closest atoms and distances in Å follow each position.
Space group P6_3mc (No. 186)
Symmetry-distinct sites (fractional):
K 0.0535 0.5268 0.0000 x6  5 Se 3.32-3.48, 1 Zn 3.53, 2 K 3.64
K 0.1473 0.2946 0.6809 x6  4 Se 3.24-3.29
Zn 0.3333 0.6667 0.3847 x2  4 Se 2.54
Se 0.1967 0.3935 0.2853 x6  1 Zn 2.54
Se 0.3333 0.6667 0.7054 x2  1 Zn 2.54

Computed properties:
* total magnetic moment: 0.00 μB per atom
* ΔH_f (0 K): -14.1 eV/f.u.
* crystal system: hexagonal

***

Density functional theory data (r²SCAN) for an optimized crystal structure of Fe3B7IO13.

a = 8.6647 Å, b = 8.6647 Å, c = 21.1502 Å
α = 90.00°, β = 90.00°, γ = 120.00°
Closest atoms and distances in Å follow each position.
Space group R3c (No. 161, hexagonal axes)
Symmetry-distinct sites (fractional):
Fe 0.0237 0.5119 0.0000 x18  4 O 2.00-2.16
B 0.0000 0.0000 0.1035 x6  3 O 1.38
B 0.0042 0.5011 0.2521 x18  4 O 1.45-1.51
B 0.0999 0.2024 0.4743 x18  4 O 1.44-1.56
I 0.0000 0.0000 0.2583 x6  3 Fe 2.81
O 0.0000 0.0000 0.4904 x6  3 B 1.56
O 0.0013 0.1594 0.6071 x18  2 B 1.38-1.51
O 0.0225 0.2218 0.9152 x18  2 B 1.48
O 0.0302 0.4432 0.6909 x18  2 B 1.45
O 0.0764 0.3789 0.1324 x18  2 B 1.44-1.45

Computed properties:
* total magnetic moment: 0.50 μB per atom
* ΔH_f (0 K): -53.2 eV/f.u.
* crystal system: trigonal

***

Density functional theory data (r²SCAN) for an optimized crystal structure of KCeF4.

a = 6.2885 Å, b = 3.7634 Å, c = 15.5975 Å
α = 90.00°, β = 90.00°, γ = 90.00°
Closest atoms and distances in Å follow each position.
Space group Pnma (No. 62)
Symmetry-distinct sites (fractional):
K 0.2225 0.2500 0.2021 x4  7 F 2.59-2.75
Ce 0.2486 0.7500 0.4381 x4  9 F 2.31-2.53
F 0.0076 0.2500 0.0596 x4  3 Ce 2.44-2.49, 1 K 2.60, 2 F 2.65
F 0.0882 0.2500 0.8053 x4  1 Ce 2.31
F 0.1008 0.2500 0.3628 x4  2 Ce 2.40, 2 K 2.59-2.62
F 0.1366 0.2500 0.5370 x4  3 Ce 2.45-2.53, 1 F 2.73

Computed properties:
* total magnetic moment: 0.17 μB per atom
* ΔH_f (0 K): -23.6 eV/f.u.
* crystal system: orthorhombic

***

Density functional theory data (r²SCAN) for an optimized crystal structure of La2Mg17.

a = 10.3118 Å, b = 10.3118 Å, c = 10.1525 Å
α = 90.00°, β = 90.00°, γ = 120.00°
Closest atoms and distances in Å follow each position.
Space group P6_3/mmc (No. 194)
Symmetry-distinct sites (fractional):
La 0.0000 0.0000 0.2500 x2  18 Mg 3.58-4.00
La 0.3333 0.6667 0.2500 x2  20 Mg 3.57-3.91
Mg 0.0000 0.5000 0.0000 x6  10 Mg 3.01-3.15
Mg 0.0359 0.3642 0.7500 x12  8 Mg 3.01-3.17
Mg 0.1625 0.3251 0.0216 x12  8 Mg 2.94-3.16
Mg 0.3333 0.6667 0.6017 x4  7 Mg 3.01-3.30

Computed properties:
* total magnetic moment: 0.00 μB per atom
* ΔH_f (0 K): -1.6 eV/f.u.
* crystal system: hexagonal

***

Density functional theory data (r²SCAN) for an optimized crystal structure of CeTh3.

a = 4.9892 Å, b = 4.9892 Å, c = 4.9892 Å
α = 90.00°, β = 90.00°, γ = 90.00°
Closest atoms and distances in Å follow each position.
Space group Pm-3m (No. 221)
Symmetry-distinct sites (fractional):
Ce 0.0000 0.0000 0.0000 x1  12 Th 3.53
Th 0.0000 0.5000 0.5000 x3  8 Th 3.53, 4 Ce 3.53

Computed properties:
* total magnetic moment: 0.20 μB per atom
* ΔH_f (0 K): 0.1 eV/f.u.
* crystal system: cubic

***

Density functional theory data (r²SCAN) for an optimized crystal structure of CuH9C4N3O6.

a = 8.4497 Å, b = 9.0143 Å, c = 11.2019 Å
α = 90.00°, β = 90.00°, γ = 90.00°
Closest atoms and distances in Å follow each position.
Space group Pna2_1 (No. 33)
Symmetry-distinct sites (fractional):
Cu 0.0154 0.0013 0.0000 x4  4 O 1.95-2.00
H 0.0358 0.0702 0.7464 x4  1 C 1.09
H 0.0455 0.7111 0.1868 x4  1 N 1.02
H 0.0806 0.6831 0.8353 x4  1 N 1.02
H 0.0882 0.2939 0.8073 x4  1 N 1.02
H 0.0895 0.3230 0.1709 x4  1 N 1.02
H 0.1060 0.6829 0.5165 x4  1 C 1.10
H 0.1686 0.3351 0.4643 x4  1 C 1.10
H 0.1710 0.4973 0.1296 x4  1 N 1.02
H 0.1858 0.5190 0.8710 x4  1 N 1.02
C 0.0073 0.4953 0.7506 x4  3 N 1.33-1.34
C 0.0146 0.9508 0.7488 x4  1 H 1.09
C 0.1896 0.7429 0.4585 x4  1 H 1.10
C 0.2403 0.2771 0.5322 x4  1 H 1.10
N 0.0187 0.3486 0.7469 x4  2 H 1.02
N 0.0974 0.4346 0.1811 x4  2 H 1.02
N 0.0999 0.5726 0.8244 x4  2 H 1.02
O 0.0110 0.1164 0.1514 x4  1 C 1.27
O 0.0184 0.8849 0.8485 x4  1 C 1.27
O 0.1417 0.8471 0.0760 x4  1 C 1.28
O 0.1574 0.8780 0.4337 x4  1 C 1.28
O 0.1898 0.1778 0.9207 x4  1 C 1.25
O 0.2040 0.1484 0.5623 x4  1 C 1.25

Computed properties:
* total magnetic moment: 0.04 μB per atom
* ΔH_f (0 K): -15.5 eV/f.u.
* crystal system: orthorhombic

***

Density functional theory data (r²SCAN) for an optimized crystal structure of NiSb2.

a = 5.2708 Å, b = 6.2997 Å, c = 3.8138 Å
α = 90.00°, β = 90.00°, γ = 90.00°
Closest atoms and distances in Å follow each position.
Space group Pnnm (No. 58)
Symmetry-distinct sites (fractional):
Ni 0.0000 0.0000 0.0000 x2  6 Sb 2.54-2.58
Sb 0.2163 0.3599 0.0000 x4  3 Ni 2.54-2.58

Computed properties:
* total magnetic moment: 0.00 μB per atom
* ΔH_f (0 K): -0.6 eV/f.u.
* crystal system: orthorhombic

***

Density functional theory data (r²SCAN) for an optimized crystal structure of BePd.

a = 2.8116 Å, b = 2.8116 Å, c = 2.8116 Å
α = 90.00°, β = 90.00°, γ = 90.00°
Closest atoms and distances in Å follow each position.
Space group Pm-3m (No. 221)
Symmetry-distinct sites (fractional):
Be 0.0000 0.0000 0.0000 x1  8 Pd 2.43
Pd 0.5000 0.5000 0.5000 x1  8 Be 2.43

Computed properties:
* total magnetic moment: 0.00 μB per atom
* ΔH_f (0 K): -1.2 eV/f.u.
* crystal system: cubic

***

Density functional theory data (r²SCAN) for an optimized crystal structure of Sr3Si2As4.

a = 9.2457 Å, b = 16.9078 Å, c = 7.4129 Å
α = 90.00°, β = 122.43°, γ = 90.00°
Closest atoms and distances in Å follow each position.
Space group C2/c (No. 15)
Symmetry-distinct sites (fractional):
Sr 0.0000 0.0585 0.2500 x4  6 As 3.14-3.19
Sr 0.0000 0.1864 0.7500 x4  6 As 3.11-3.35
Sr 0.0000 0.4348 0.7500 x4  6 As 3.16-3.34
Si 0.1508 0.3208 0.3439 x8  3 As 2.33-2.41, 1 Si 2.36
As 0.2448 0.4330 0.2526 x8  1 Si 2.33
As 0.2470 0.1971 0.2837 x8  2 Si 2.41

Computed properties:
* total magnetic moment: 0.00 μB per atom
* ΔH_f (0 K): -8.9 eV/f.u.
* crystal system: monoclinic

***

Density functional theory data (r²SCAN) for an optimized crystal structure of K3LuF6.

a = 6.2027 Å, b = 6.4879 Å, c = 10.7237 Å
α = 90.00°, β = 124.38°, γ = 90.00°
Closest atoms and distances in Å follow each position.
Space group P2_1/c (No. 14)
Symmetry-distinct sites (fractional):
K 0.0000 0.0000 0.0000 x2  6 F 2.57-2.63
K 0.2281 0.0571 0.7461 x4  5 F 2.62-2.88
Lu 0.5000 0.0000 0.5000 x2  6 F 2.10-2.11
F 0.1744 0.1732 0.4511 x4  1 Lu 2.10
F 0.2663 0.7320 0.4312 x4  1 Lu 2.11
F 0.3905 0.0545 0.2780 x4  1 Lu 2.10

Computed properties:
* total magnetic moment: 0.00 μB per atom
* ΔH_f (0 K): -36.1 eV/f.u.
* crystal system: monoclinic

***

Density functional theory data (r²SCAN) for an optimized crystal structure of LiPmGa2.

a = 6.9007 Å, b = 6.9007 Å, c = 6.9007 Å
α = 90.00°, β = 90.00°, γ = 90.00°
Closest atoms and distances in Å follow each position.
Space group Fm-3m (No. 225)
Symmetry-distinct sites (fractional):
Li 0.0000 0.0000 0.0000 x4  8 Ga 2.99
Pm 0.0000 0.0000 0.5000 x4  8 Ga 2.99
Ga 0.2500 0.2500 0.2500 x8  4 Li 2.99, 4 Pm 2.99

Computed properties:
* total magnetic moment: 0.00 μB per atom
* ΔH_f (0 K): -2.0 eV/f.u.
* crystal system: cubic